No. 1
A plane-wave DFT calculation with PBE was carried out for an optimized crystal structure of CeAgSn.

Formation energy   -29.4 kJ per mole of atoms
Size of the total moment   0.2599 μB per atom

CIF file:
```
data_CeAgSn
_chemical_formula_sum 'Ce2 Ag2 Sn2'
_space_group_name_H-M_alt 'P 1'
_space_group_IT_number 1
_space_group_name_Hall 'P 1'
_cell_length_a 5.124
_cell_length_b 5.124
_cell_length_c 6.485
_cell_angle_alpha 90.00
_cell_angle_beta 90.00
_cell_angle_gamma 120.00
loop_
_atom_site_label
_atom_site_type_symbol
_atom_site_fract_x
_atom_site_fract_y
_atom_site_fract_z
Ce1 Ce 0.000 0.000 0.216
Ce2 Ce 0.000 0.000 0.784
Ag1 Ag 0.333 0.667 0.995
Ag2 Ag 0.667 0.333 0.005
Sn1 Sn 0.333 0.667 0.519
Sn2 Sn 0.667 0.333 0.481
```

***

No. 2
A plane-wave DFT calculation with PBE was carried out for an optimized crystal structure of Tb5Ru2O12.

Formation energy   -301.9 kJ per mole of atoms

CIF file:
```
data_Tb5Ru2O12
_chemical_formula_sum 'Tb5 Ru2 O12'
_space_group_name_H-M_alt 'P 1'
_space_group_IT_number 1
_space_group_name_Hall 'P 1'
_cell_length_a 6.930
_cell_length_b 6.930
_cell_length_c 7.321
_cell_angle_alpha 105.36
_cell_angle_beta 105.36
_cell_angle_gamma 49.28
loop_
_atom_site_label
_atom_site_type_symbol
_atom_site_fract_x
_atom_site_fract_y
_atom_site_fract_z
Tb1 Tb 0.000 0.000 0.000
Tb2 Tb 0.300 0.300 0.139
Tb3 Tb 0.304 0.304 0.666
Tb4 Tb 0.696 0.696 0.334
Tb5 Tb 0.700 0.700 0.861
Ru1 Ru 0.269 0.731 0.500
Ru2 Ru 0.731 0.269 0.500
O1 O 0.000 0.000 0.329
O2 O 0.000 0.000 0.671
O3 O 0.096 0.600 0.927
O4 O 0.105 0.564 0.415
O5 O 0.400 0.904 0.073
O6 O 0.436 0.895 0.585
O7 O 0.499 0.499 0.707
O8 O 0.501 0.501 0.293
O9 O 0.564 0.105 0.415
O10 O 0.600 0.096 0.927
O11 O 0.895 0.436 0.585
O12 O 0.904 0.400 0.073
```

***

No. 3
A plane-wave DFT calculation with PBE was carried out for an optimized crystal structure of Ba5Re3ClO15.

Formation energy   -266.9 kJ per mole of atoms
Size of the total moment   0.0001 μB per atom

CIF file:
```
data_Ba5Re3ClO15
_chemical_formula_sum 'Ba10 Re6 Cl2 O30'
_space_group_name_H-M_alt 'P 1'
_space_group_IT_number 1
_space_group_name_Hall 'P 1'
_cell_length_a 11.125
_cell_length_b 11.125
_cell_length_c 7.938
_cell_angle_alpha 90.00
_cell_angle_beta 90.00
_cell_angle_gamma 120.00
loop_
_atom_site_label
_atom_site_type_symbol
_atom_site_fract_x
_atom_site_fract_y
_atom_site_fract_z
Ba1 Ba 0.000 0.264 0.000
Ba2 Ba 0.000 0.736 0.500
Ba3 Ba 0.264 0.000 0.000
Ba4 Ba 0.264 0.264 0.500
Ba5 Ba 0.333 0.667 0.259
Ba6 Ba 0.333 0.667 0.759
Ba7 Ba 0.667 0.333 0.259
Ba8 Ba 0.667 0.333 0.759
Ba9 Ba 0.736 0.000 0.500
Ba10 Ba 0.736 0.736 0.000
Re1 Re 0.000 0.391 0.554
Re2 Re 0.000 0.609 0.054
Re3 Re 0.391 0.000 0.554
Re4 Re 0.391 0.391 0.054
Re5 Re 0.609 0.000 0.054
Re6 Re 0.609 0.609 0.554
Cl1 Cl 0.000 0.000 0.216
Cl2 Cl 0.000 0.000 0.716
O1 O 0.000 0.296 0.376
O2 O 0.000 0.704 0.876
O3 O 0.131 0.553 0.015
O4 O 0.131 0.577 0.515
O5 O 0.132 0.389 0.695
O6 O 0.132 0.742 0.195
O7 O 0.258 0.389 0.195
O8 O 0.258 0.868 0.695
O9 O 0.296 0.000 0.376
O10 O 0.296 0.296 0.876
O11 O 0.389 0.132 0.695
O12 O 0.389 0.258 0.195
O13 O 0.423 0.553 0.515
O14 O 0.423 0.869 0.015
O15 O 0.447 0.577 0.015
O16 O 0.447 0.869 0.515
O17 O 0.553 0.131 0.015
O18 O 0.553 0.423 0.515
O19 O 0.577 0.131 0.515
O20 O 0.577 0.447 0.015
O21 O 0.611 0.742 0.695
O22 O 0.611 0.868 0.195
O23 O 0.704 0.000 0.876
O24 O 0.704 0.704 0.376
O25 O 0.742 0.132 0.195
O26 O 0.742 0.611 0.695
O27 O 0.868 0.258 0.695
O28 O 0.868 0.611 0.195
O29 O 0.869 0.423 0.015
O30 O 0.869 0.447 0.515
```

***

No. 4
A plane-wave DFT calculation with PBE was carried out for an optimized crystal structure of DyMg2V3S8.

Formation energy   -141.2 kJ per mole of atoms
Size of the total moment   0.4286 μB per atom

CIF file:
```
data_DyMg2V3S8
_chemical_formula_sum 'Dy1 Mg2 V3 S8'
_space_group_name_H-M_alt 'P 1'
_space_group_IT_number 1
_space_group_name_Hall 'P 1'
_cell_length_a 7.361
_cell_length_b 7.376
_cell_length_c 7.448
_cell_angle_alpha 90.12
_cell_angle_beta 119.56
_cell_angle_gamma 119.92
loop_
_atom_site_label
_atom_site_type_symbol
_atom_site_fract_x
_atom_site_fract_y
_atom_site_fract_z
Dy1 Dy 0.000 0.000 0.000
Mg1 Mg 0.252 0.626 0.878
Mg2 Mg 0.748 0.374 0.122
V1 V 0.000 0.000 0.500
V2 V 0.500 0.000 0.500
V3 V 0.500 0.500 0.500
S1 S 0.033 0.255 0.288
S2 S 0.033 0.778 0.288
S3 S 0.476 0.238 0.714
S4 S 0.490 0.745 0.712
S5 S 0.510 0.255 0.288
S6 S 0.524 0.762 0.286
S7 S 0.967 0.222 0.712
S8 S 0.967 0.745 0.712
```